[1]
Crystalline Mn5Al31Cu3 at its relaxed geometry. Source: the Materials Project, functional PBE.

Cell and atoms, written as POSCAR:
```
Mn5Al31Cu3
1.0
0.000 0.000 -7.596
0.000 -12.761 0.000
-12.027 0.000 3.798
Mn Al Cu
10 62 6
Cartesian
-0.946 -9.571 -3.798
-11.081 -3.190 0.000
-8.598 -7.061 0.000
-3.429 -0.680 -3.798
-3.429 -5.701 -3.798
-5.098 -9.571 -5.229
-8.598 -12.081 0.000
-5.098 -9.571 -2.367
-6.929 -3.190 -1.431
-6.929 -3.190 1.431
-2.484 -9.571 -6.148
-9.404 -11.394 -2.260
-4.163 -7.221 -1.488
-7.108 -3.190 -3.798
-4.163 -11.921 -6.108
-2.623 -1.367 -6.058
-0.411 -5.167 0.000
-11.033 -11.287 0.000
-0.993 -4.906 -3.798
-1.204 -11.860 -2.360
-8.811 -9.571 0.000
-7.273 -9.571 -3.798
-10.823 -5.479 1.438
-7.864 -0.840 2.310
-0.411 -1.214 0.000
-3.295 -10.841 -3.798
-4.163 -11.921 -1.488
-6.281 -0.813 0.000
-0.426 -3.190 -5.856
-7.864 -5.541 -2.310
-11.033 -7.855 0.000
-7.864 -0.840 -2.310
-6.281 -5.568 0.000
-5.745 -7.194 -3.798
-2.623 -5.014 -6.058
-9.404 -7.748 2.260
-10.823 -0.902 1.438
-4.163 -7.221 -6.108
-5.222 -1.637 -5.235
-6.805 -8.017 1.437
-10.823 -0.902 -1.438
-5.222 -4.744 -5.235
-3.216 -3.190 -3.798
-6.805 -11.125 -1.437
-11.616 -11.548 -3.798
-6.805 -8.017 -1.437
-9.543 -3.190 -2.350
-8.732 -4.460 0.000
-9.404 -7.748 -2.260
-2.623 -1.367 -1.538
-5.222 -1.637 -2.361
-6.805 -11.125 1.437
-11.600 -9.571 2.057
-1.204 -11.860 -5.237
-0.426 -3.190 -1.741
-11.616 -7.594 -3.798
-5.222 -4.744 -2.361
-8.732 -1.920 0.000
-5.745 -11.948 -3.798
-9.404 -11.394 2.260
-10.823 -5.479 -1.438
-11.600 -9.571 -2.057
-7.864 -5.541 2.310
-2.484 -9.571 -1.449
-3.295 -8.301 -3.798
-0.993 -1.475 -3.798
-1.204 -7.282 -5.237
-9.543 -3.190 2.350
-4.754 -3.190 0.000
-4.919 -9.571 0.000
-2.623 -5.014 -1.538
-1.204 -7.282 -2.360
-2.082 -11.945 0.000
-9.945 -5.564 -3.798
-9.945 -0.816 -3.798
-2.262 -3.190 0.000
-9.764 -9.571 -3.798
-2.082 -7.197 0.000
```

DFT total energy: -4.63 eV/atom
Symmetry: Cmcm (63)

=====

[2]
Crystalline MnAl2Cu at its relaxed geometry. Source: the Materials Project, functional PBE.

Cell and atoms, written as POSCAR:
```
MnAl2Cu
1.0
-1.262 -2.135 1.313
2.242 -0.305 1.660
-2.668 4.276 4.389
Al Cu Mn
2 1 1
Cartesian
-1.997 3.200 3.284
-0.671 1.076 1.104
0.490 -1.220 1.487
-0.844 0.918 3.681
```

DFT total energy: -5.43 eV/atom
Symmetry: P4/mmm (123)

=====

[3]
Crystalline MnAlCuPd at its relaxed geometry. Source: the Materials Project, functional PBE.

Cell and atoms, written as POSCAR:
```
MnAlCuPd
1.0
-1.354 0.820 2.581
-0.431 -2.914 0.699
5.398 -0.112 2.867
Mn Al Pd Cu
1 1 1 1
Cartesian
2.619 -0.054 1.391
0.039 -0.001 0.021
3.223 -1.132 3.825
0.431 -1.074 2.342
```

DFT total energy: -5.85 eV/atom
Symmetry: P4mm (99)

=====

[4]
Crystalline Al2CuMo at its relaxed geometry. Source: the Materials Project, functional PBE.

Cell and atoms, written as POSCAR:
```
Al2CuMo
1.0
1.016 -4.561 -0.956
3.412 -1.589 2.930
-4.114 2.279 0.794
Mo Cu Al
1 1 2
Cartesian
0.000 0.000 0.000
2.214 -3.075 0.987
0.756 -1.193 2.355
-0.442 -2.679 0.413
```

DFT total energy: -5.72 eV/atom
Symmetry: I4/mmm (139)

=====

Question: Which of these has the highest DFT total energy?
Answer: Mn5Al31Cu3